[1]
Material: Na10Ga4Si7Sn4S5O48
Method: DFT, PBE
State: optimized geometry

## Properties
Formation energy, eV per atom: -2.341
E, eV per atom: -6.245
Total magnetic moment, μB per formula unit: 0.0

```
data_Na10Ga4Si7Sn4S5O48
_chemical_formula_sum 'Na30 Ga12 Si21 Sn12 S15 O144'
_space_group_name_H-M_alt 'P 1'
_space_group_IT_number 1
_space_group_name_Hall 'P 1'
_cell_length_a 8.899
_cell_length_b 15.427
_cell_length_c 22.424
_cell_angle_alpha 90.28
_cell_angle_beta 90.24
_cell_angle_gamma 90.09
loop_
_atom_site_label
_atom_site_type_symbol
_atom_site_fract_x
_atom_site_fract_y
_atom_site_fract_z
Na1 Na 0.000 0.000 0.000
Na2 Na 0.000 0.333 0.331
Na3 Na 0.051 0.336 0.674
Na4 Na 0.162 0.856 0.415
Na5 Na 0.178 0.516 0.087
Na6 Na 0.183 0.175 0.751
Na7 Na 0.187 0.182 0.247
Na8 Na 0.195 0.516 0.581
Na9 Na 0.202 0.855 0.916
Na10 Na 0.362 0.331 0.831
Na11 Na 0.368 0.694 0.828
Na12 Na 0.371 0.027 0.166
Na13 Na 0.493 0.526 0.664
Na14 Na 0.497 0.193 0.328
Na15 Na 0.502 0.832 0.332
Na16 Na 0.551 0.836 0.674
Na17 Na 0.552 0.170 0.011
Na18 Na 0.553 0.502 0.342
Na19 Na 0.669 0.014 0.086
Na20 Na 0.676 0.353 0.420
Na21 Na 0.683 0.675 0.750
Na22 Na 0.694 0.016 0.581
Na23 Na 0.695 0.360 0.918
Na24 Na 0.697 0.680 0.253
Na25 Na 0.816 0.836 0.178
Na26 Na 0.861 0.832 0.832
Na27 Na 0.868 0.194 0.832
Na28 Na 0.872 0.526 0.168
Na29 Na 0.992 0.026 0.664
Na30 Na 0.994 0.361 0.001
Ga1 Ga 0.163 0.178 0.607
Ga2 Ga 0.170 0.504 0.936
Ga3 Ga 0.180 0.841 0.274
Ga4 Ga 0.183 0.176 0.108
Ga5 Ga 0.183 0.845 0.772
Ga6 Ga 0.197 0.501 0.437
Ga7 Ga 0.664 0.678 0.607
Ga8 Ga 0.678 0.004 0.940
Ga9 Ga 0.682 0.345 0.772
Ga10 Ga 0.685 0.341 0.270
Ga11 Ga 0.698 0.998 0.437
Ga12 Ga 0.699 0.676 0.110
Si1 Si 0.028 0.029 0.506
Si2 Si 0.029 0.363 0.838
Si3 Si 0.044 0.698 0.172
Si4 Si 0.320 0.699 0.671
Si5 Si 0.330 0.028 0.007
Si6 Si 0.334 0.362 0.338
Si7 Si 0.389 0.335 0.672
Si8 Si 0.392 0.006 0.341
Si9 Si 0.474 0.507 0.840
Si10 Si 0.476 0.836 0.173
Si11 Si 0.530 0.531 0.505
Si12 Si 0.530 0.865 0.839
Si13 Si 0.534 0.198 0.172
Si14 Si 0.820 0.199 0.672
Si15 Si 0.834 0.532 0.007
Si16 Si 0.839 0.862 0.337
Si17 Si 0.889 0.173 0.005
Si18 Si 0.889 0.835 0.672
Si19 Si 0.893 0.508 0.339
Si20 Si 0.979 0.006 0.839
Si21 Si 0.980 0.337 0.172
Sn1 Sn 0.170 0.171 0.903
Sn2 Sn 0.170 0.843 0.568
Sn3 Sn 0.171 0.505 0.235
Sn4 Sn 0.185 0.168 0.403
Sn5 Sn 0.193 0.507 0.735
Sn6 Sn 0.197 0.839 0.071
Sn7 Sn 0.669 0.343 0.568
Sn8 Sn 0.671 0.008 0.236
Sn9 Sn 0.677 0.671 0.903
Sn10 Sn 0.692 0.007 0.736
Sn11 Sn 0.693 0.342 0.070
Sn12 Sn 0.694 0.673 0.402
S1 S 0.034 0.323 0.505
S2 S 0.036 0.653 0.839
S3 S 0.036 0.989 0.171
S4 S 0.323 0.654 0.339
S5 S 0.329 0.324 0.004
S6 S 0.329 0.990 0.671
S7 S 0.387 0.673 0.004
S8 S 0.475 0.173 0.505
S9 S 0.534 0.490 0.171
S10 S 0.534 0.823 0.505
S11 S 0.535 0.154 0.839
S12 S 0.828 0.153 0.339
S13 S 0.829 0.490 0.671
S14 S 0.830 0.821 0.005
S15 S 0.976 0.673 0.506
O1 O 0.005 0.156 0.059
O2 O 0.005 0.185 0.667
O3 O 0.008 0.492 0.395
O4 O 0.017 0.850 0.330
O5 O 0.018 0.518 0.999
O6 O 0.050 0.936 0.115
O7 O 0.055 0.601 0.784
O8 O 0.056 0.418 0.899
O9 O 0.062 0.271 0.449
O10 O 0.063 0.766 0.226
O11 O 0.067 0.086 0.567
O12 O 0.067 0.595 0.500
O13 O 0.075 0.916 0.831
O14 O 0.076 0.752 0.508
O15 O 0.079 0.250 0.164
O16 O 0.082 0.095 0.840
O17 O 0.083 0.427 0.173
O18 O 0.099 0.282 0.558
O19 O 0.102 0.612 0.891
O20 O 0.103 0.410 0.501
O21 O 0.106 0.737 0.108
O22 O 0.107 0.071 0.448
O23 O 0.107 0.074 0.165
O24 O 0.107 0.404 0.778
O25 O 0.107 0.947 0.222
O26 O 0.109 0.739 0.834
O27 O 0.114 0.933 0.508
O28 O 0.120 0.601 0.175
O29 O 0.124 0.268 0.842
O30 O 0.237 0.933 0.009
O31 O 0.245 0.268 0.346
O32 O 0.246 0.069 0.947
O33 O 0.246 0.600 0.674
O34 O 0.249 0.402 0.279
O35 O 0.256 0.744 0.611
O36 O 0.257 0.951 0.724
O37 O 0.258 0.410 0.999
O38 O 0.259 0.281 0.055
O39 O 0.259 0.741 0.333
O40 O 0.260 0.076 0.665
O41 O 0.260 0.613 0.392
O42 O 0.274 0.422 0.674
O43 O 0.280 0.251 0.660
O44 O 0.289 0.096 0.343
O45 O 0.289 0.753 0.006
O46 O 0.295 0.595 0.998
O47 O 0.295 0.917 0.333
O48 O 0.302 0.760 0.731
O49 O 0.305 0.089 0.065
O50 O 0.308 0.599 0.284
O51 O 0.311 0.271 0.947
O52 O 0.314 0.934 0.617
O53 O 0.320 0.427 0.395
O54 O 0.346 0.524 0.499
O55 O 0.351 0.845 0.832
O56 O 0.353 0.179 0.166
O57 O 0.357 0.493 0.895
O58 O 0.367 0.830 0.509
O59 O 0.369 0.168 0.844
O60 O 0.369 0.501 0.177
O61 O 0.376 0.167 0.557
O62 O 0.376 0.825 0.232
O63 O 0.378 0.870 0.115
O64 O 0.382 0.534 0.778
O65 O 0.388 0.191 0.448
O66 O 0.474 0.691 0.947
O67 O 0.482 0.034 0.279
O68 O 0.486 0.666 0.056
O69 O 0.487 0.325 0.733
O70 O 0.491 0.369 0.616
O71 O 0.492 0.665 0.343
O72 O 0.495 0.332 0.009
O73 O 0.495 0.998 0.678
O74 O 0.505 0.685 0.667
O75 O 0.509 0.994 0.396
O76 O 0.512 0.021 0.999
O77 O 0.515 0.348 0.331
O78 O 0.555 0.100 0.784
O79 O 0.555 0.435 0.117
O80 O 0.562 0.770 0.450
O81 O 0.565 0.926 0.896
O82 O 0.566 0.256 0.231
O83 O 0.567 0.096 0.499
O84 O 0.570 0.587 0.565
O85 O 0.572 0.418 0.832
O86 O 0.575 0.253 0.507
O87 O 0.576 0.596 0.842
O88 O 0.585 0.751 0.161
O89 O 0.591 0.922 0.174
O90 O 0.599 0.239 0.109
O91 O 0.600 0.782 0.559
O92 O 0.601 0.114 0.892
O93 O 0.603 0.451 0.225
O94 O 0.603 0.573 0.444
O95 O 0.603 0.910 0.501
O96 O 0.607 0.240 0.834
O97 O 0.608 0.575 0.165
O98 O 0.608 0.900 0.777
O99 O 0.616 0.434 0.507
O100 O 0.617 0.100 0.175
O101 O 0.620 0.769 0.846
O102 O 0.738 0.769 0.344
O103 O 0.746 0.100 0.675
O104 O 0.755 0.900 0.276
O105 O 0.756 0.244 0.611
O106 O 0.756 0.434 0.010
O107 O 0.757 0.241 0.334
O108 O 0.757 0.451 0.724
O109 O 0.759 0.573 0.946
O110 O 0.760 0.576 0.664
O111 O 0.761 0.113 0.391
O112 O 0.762 0.909 0.002
O113 O 0.765 0.779 0.058
O114 O 0.773 0.589 0.341
O115 O 0.774 0.258 0.008
O116 O 0.774 0.922 0.674
O117 O 0.779 0.751 0.661
O118 O 0.785 0.086 0.997
O119 O 0.787 0.420 0.333
O120 O 0.796 0.589 0.066
O121 O 0.802 0.260 0.730
O122 O 0.804 0.770 0.949
O123 O 0.810 0.102 0.284
O124 O 0.810 0.921 0.395
O125 O 0.814 0.434 0.617
O126 O 0.845 0.023 0.499
O127 O 0.849 0.346 0.831
O128 O 0.859 0.684 0.168
O129 O 0.867 0.330 0.508
O130 O 0.870 0.668 0.843
O131 O 0.870 0.997 0.177
O132 O 0.873 0.990 0.898
O133 O 0.876 0.329 0.232
O134 O 0.879 0.666 0.558
O135 O 0.880 0.033 0.779
O136 O 0.882 0.366 0.113
O137 O 0.888 0.692 0.450
O138 O 0.979 0.203 0.943
O139 O 0.979 0.530 0.277
O140 O 0.987 0.825 0.733
O141 O 0.992 0.869 0.616
O142 O 0.994 0.169 0.344
O143 O 0.995 0.498 0.678
O144 O 0.996 0.832 0.009
```

***

[2]
Material: Na8Ga2Si5Sn2SO24
Method: DFT, PBE
State: optimized geometry

## Properties
Formation energy, eV per atom: -2.511
E, eV per atom: -6.277
Total magnetic moment, μB per formula unit: 0.0

```
data_Na8Ga2Si5Sn2SO24
_chemical_formula_sum 'Na24 Ga6 Si15 Sn6 S3 O72'
_space_group_name_H-M_alt 'P 1'
_space_group_IT_number 1
_space_group_name_Hall 'P 1'
_cell_length_a 9.045
_cell_length_b 9.064
_cell_length_c 22.107
_cell_angle_alpha 89.33
_cell_angle_beta 89.93
_cell_angle_gamma 60.14
loop_
_atom_site_label
_atom_site_type_symbol
_atom_site_fract_x
_atom_site_fract_y
_atom_site_fract_z
Na1 Na 0.000 0.000 0.000
Na2 Na 0.000 0.365 0.503
Na3 Na 0.270 0.364 0.003
Na4 Na 0.273 0.726 0.500
Na5 Na 0.296 0.666 0.838
Na6 Na 0.301 0.408 0.340
Na7 Na 0.303 0.039 0.585
Na8 Na 0.310 0.031 0.087
Na9 Na 0.343 0.326 0.665
Na10 Na 0.351 0.687 0.172
Na11 Na 0.594 0.068 0.164
Na12 Na 0.613 0.692 0.669
Na13 Na 0.630 0.380 0.253
Na14 Na 0.633 0.732 0.003
Na15 Na 0.635 0.003 0.506
Na16 Na 0.645 0.357 0.752
Na17 Na 0.673 0.651 0.334
Na18 Na 0.674 0.029 0.836
Na19 Na 0.935 0.403 0.836
Na20 Na 0.941 0.033 0.340
Na21 Na 0.955 0.079 0.671
Na22 Na 0.968 0.336 0.169
Na23 Na 0.969 0.699 0.917
Na24 Na 0.978 0.691 0.418
Ga1 Ga 0.303 0.029 0.236
Ga2 Ga 0.624 0.379 0.101
Ga3 Ga 0.637 0.378 0.406
Ga4 Ga 0.651 0.352 0.600
Ga5 Ga 0.950 0.703 0.775
Ga6 Ga 0.994 0.660 0.270
Si1 Si 0.008 0.027 0.835
Si2 Si 0.008 0.321 0.334
Si3 Si 0.273 0.395 0.171
Si4 Si 0.299 0.334 0.836
Si5 Si 0.300 0.737 0.334
Si6 Si 0.342 0.659 0.005
Si7 Si 0.353 0.364 0.503
Si8 Si 0.594 0.739 0.837
Si9 Si 0.634 0.653 0.504
Si10 Si 0.637 0.076 0.006
Si11 Si 0.674 0.700 0.174
Si12 Si 0.678 0.993 0.671
Si13 Si 0.922 0.077 0.502
Si14 Si 0.924 0.362 0.006
Si15 Si 0.966 0.406 0.672
Sn1 Sn 0.294 0.033 0.439
Sn2 Sn 0.300 0.035 0.939
Sn3 Sn 0.304 0.041 0.737
Sn4 Sn 0.635 0.365 0.902
Sn5 Sn 0.964 0.694 0.566
Sn6 Sn 0.966 0.689 0.068
S1 S 0.260 0.698 0.671
S2 S 0.597 0.031 0.335
S3 S 0.969 0.988 0.172
O1 O 0.017 0.479 0.611
O2 O 0.090 0.069 0.775
O3 O 0.099 0.199 0.276
O4 O 0.114 0.193 0.001
O5 O 0.115 0.055 0.500
O6 O 0.121 0.727 0.328
O7 O 0.125 0.005 0.174
O8 O 0.129 0.989 0.895
O9 O 0.131 0.521 0.828
O10 O 0.133 0.247 0.395
O11 O 0.138 0.212 0.674
O12 O 0.147 0.478 0.111
O13 O 0.150 0.683 0.011
O14 O 0.157 0.728 0.614
O15 O 0.160 0.537 0.507
O16 O 0.179 0.676 0.724
O17 O 0.193 0.522 0.229
O18 O 0.256 0.252 0.895
O19 O 0.261 0.855 0.395
O20 O 0.277 0.855 0.673
O21 O 0.284 0.209 0.179
O22 O 0.325 0.848 0.000
O23 O 0.332 0.192 0.498
O24 O 0.339 0.827 0.276
O25 O 0.349 0.211 0.777
O26 O 0.416 0.541 0.945
O27 O 0.431 0.546 0.666
O28 O 0.434 0.398 0.442
O29 O 0.461 0.581 0.064
O30 O 0.463 0.375 0.165
O31 O 0.466 0.056 0.001
O32 O 0.466 0.331 0.564
O33 O 0.466 0.847 0.498
O34 O 0.469 0.546 0.340
O35 O 0.472 0.817 0.776
O36 O 0.473 0.347 0.841
O37 O 0.483 0.871 0.178
O38 O 0.487 0.058 0.282
O39 O 0.488 0.003 0.673
O40 O 0.513 0.860 0.895
O41 O 0.521 0.999 0.391
O42 O 0.595 0.572 0.564
O43 O 0.603 0.196 0.065
O44 O 0.610 0.186 0.340
O45 O 0.611 0.550 0.840
O46 O 0.652 0.185 0.665
O47 O 0.665 0.524 0.168
O48 O 0.675 0.540 0.443
O49 O 0.678 0.148 0.944
O50 O 0.749 0.747 0.112
O51 O 0.756 0.875 0.610
O52 O 0.767 0.880 0.331
O53 O 0.782 0.721 0.833
O54 O 0.792 0.392 0.665
O55 O 0.800 0.671 0.231
O56 O 0.802 0.158 0.443
O57 O 0.802 0.905 0.729
O58 O 0.805 0.675 0.506
O59 O 0.809 0.886 0.010
O60 O 0.810 0.404 0.944
O61 O 0.817 0.158 0.167
O62 O 0.820 0.335 0.341
O63 O 0.822 0.201 0.839
O64 O 0.838 0.327 0.065
O65 O 0.851 0.189 0.563
O66 O 0.937 0.526 0.729
O67 O 0.944 0.533 0.007
O68 O 0.945 0.904 0.225
O69 O 0.950 0.882 0.508
O70 O 0.986 0.514 0.332
O71 O 0.993 0.856 0.830
O72 O 0.998 0.884 0.116
```